Compound: Nd2NCl3
Source: Materials Project
Functional: r2SCAN
Structure: optimized geometry

Cell and atoms, written as extended XYZ:
```
24
Lattice="13.475 0.000 0.000 0.000 6.876 0.000 0.000 0.000 6.270" Properties=species:S:1:pos:R:3 pbc="T T T"
Nd 1.240 1.210 0.037
Nd 1.240 5.665 3.171
Nd 5.497 2.227 3.171
Nd 5.497 4.648 0.037
Nd 7.978 2.227 6.233
Nd 7.978 4.648 3.098
Nd 12.235 1.210 3.098
Nd 12.235 5.665 6.233
N 0.000 0.052 4.702
N 0.000 6.824 1.567
N 6.738 3.386 1.567
N 6.738 3.490 4.702
Cl 0.000 3.426 4.702
Cl 0.000 3.450 1.567
Cl 2.938 0.956 2.484
Cl 2.938 5.920 5.619
Cl 3.799 2.482 5.619
Cl 3.799 4.394 2.484
Cl 6.738 0.012 1.567
Cl 6.738 6.864 4.702
Cl 9.676 2.482 3.786
Cl 9.676 4.394 0.651
Cl 10.537 0.956 0.651
Cl 10.537 5.920 3.786
```

Calculated values
- total DFT energy (no corrections) (eV per atom) = -16.789
- space group = Pbcn
- formation energy from the elements (eV/f.u.) = -14.31

=====

Compound: P3NCl12
Source: Materials Project
Functional: r2SCAN
Structure: optimized geometry

Cell and atoms, written as extended XYZ:
```
128
Lattice="11.741 0.000 0.000 0.000 21.087 0.000 -7.703 0.000 13.937" Properties=species:S:1:pos:R:3 pbc="T T T"
P -3.106 4.581 6.089
P -6.958 5.963 13.058
P -2.069 11.199 4.664
P -5.921 20.432 11.632
P -5.455 11.333 11.762
P -1.603 20.298 4.794
P 2.324 4.376 5.138
P -1.528 6.167 12.106
P -0.166 11.150 9.987
P 3.686 20.480 3.018
P 1.959 15.269 6.292
P -1.892 16.362 13.260
P 5.930 4.725 0.677
P 2.078 5.818 7.645
P 0.351 0.607 10.919
P 4.203 9.937 3.950
P 5.565 14.920 1.831
P 1.713 16.711 8.799
P 5.641 0.789 9.143
P 9.492 9.754 2.175
P 9.958 0.655 2.305
P 6.107 9.888 9.273
P 10.995 15.124 0.879
P 7.144 16.506 7.848
N -1.322 0.343 3.759
N -5.174 10.200 10.728
N -1.943 5.048 13.104
N 1.909 5.495 6.135
N 2.129 15.591 7.802
N 5.981 16.039 0.833
N 9.212 10.887 3.209
N 5.360 20.744 10.178
Cl -0.890 2.270 1.651
Cl -4.741 8.274 8.619
Cl -7.124 15.297 13.094
Cl -3.272 16.334 6.125
Cl -1.800 4.434 4.384
Cl -5.651 6.110 11.353
Cl -4.191 1.076 8.779
Cl -0.339 9.468 1.810
Cl -6.330 0.789 12.904
Cl -2.478 9.754 5.936
Cl 0.386 13.417 1.577
Cl -3.466 18.213 8.545
Cl -4.741 13.073 11.184
Cl -0.889 18.557 4.216
Cl -3.296 15.195 8.948
Cl 0.555 16.435 1.980
Cl -5.840 4.242 13.769
Cl -1.989 6.301 6.800
Cl -1.831 3.288 7.215
Cl 2.021 7.255 0.246
Cl -0.135 11.500 4.800
Cl -3.987 20.130 11.768
Cl -4.607 10.885 13.467
Cl -0.755 20.746 6.499
Cl 0.069 15.122 5.739
Cl -3.783 16.508 12.708
Cl -1.543 12.459 9.009
Cl 2.309 19.172 2.041
Cl 1.704 4.830 3.342
Cl -2.147 5.713 10.310
Cl 2.464 1.097 2.468
Cl -1.388 9.447 9.436
Cl 2.828 11.272 2.949
Cl -1.024 20.358 9.918
Cl 1.572 2.620 5.595
Cl -2.280 7.923 12.564
Cl 3.615 14.680 1.931
Cl -0.237 16.951 8.900
Cl -0.871 2.281 10.356
Cl 2.981 8.263 3.387
Cl -1.290 11.346 11.843
Cl 2.561 20.284 4.874
Cl 0.957 10.937 8.163
Cl 4.808 20.694 1.194
Cl -1.092 15.007 12.080
Cl 2.760 16.624 5.112
Cl 5.090 3.011 1.082
Cl 1.238 7.533 8.050
Cl 2.800 13.554 5.886
Cl -1.052 18.076 12.855
Cl 1.278 4.463 8.825
Cl 5.130 6.080 1.857
Cl -0.771 0.393 12.743
Cl 3.081 10.150 5.774
Cl 1.476 0.803 9.063
Cl 5.328 9.741 2.094
Cl 1.056 12.824 10.550
Cl 4.908 18.806 3.581
Cl 4.275 4.136 5.037
Cl 0.423 6.407 12.006
Cl 6.318 13.163 1.373
Cl 2.466 18.467 8.342
Cl 5.062 0.729 4.019
Cl 1.210 9.815 10.988
Cl 5.425 11.640 4.500
Cl 1.573 19.990 11.469
Cl 6.185 15.374 3.627
Cl 2.333 16.257 10.595
Cl 1.728 1.915 11.896
Cl 5.580 8.628 4.928
Cl 7.820 4.579 1.229
Cl 3.968 5.965 8.198
Cl 4.793 0.341 7.438
Cl 8.645 10.202 0.470
Cl 8.025 0.957 2.169
Cl 4.173 9.587 9.137
Cl 2.017 13.832 13.691
Cl 5.869 17.799 6.722
Cl 6.026 14.786 7.137
Cl 9.878 16.845 0.168
Cl 3.482 4.652 11.957
Cl 7.334 5.892 4.989
Cl 4.927 2.530 9.721
Cl 8.779 8.014 2.753
Cl 7.503 2.874 5.392
Cl 3.652 7.670 12.360
Cl 6.516 11.333 8.001
Cl 10.368 20.298 1.033
Cl 4.376 11.619 12.127
Cl 8.228 20.011 5.158
Cl 9.689 14.977 2.584
Cl 5.837 16.653 9.552
Cl 7.310 4.753 7.812
Cl 11.162 5.790 0.843
Cl 8.779 12.813 5.318
Cl 4.927 18.817 12.286
```

Calculated values
- total DFT energy (no corrections) (eV per atom) = -7.548
- space group = P2_1/c
- formation energy from the elements (eV/f.u.) = -10.81

=====

Compound: TaP2NCl12
Source: Materials Project
Functional: r2SCAN
Structure: optimized geometry

Cell and atoms, written as extended XYZ:
```
32
Lattice="6.794 -4.371 0.000 6.794 4.371 0.000 -3.707 0.000 14.939" Properties=species:S:1:pos:R:3 pbc="T T T"
Ta 0.000 0.000 0.000
Ta -1.854 0.000 7.469
P 2.573 0.618 10.887
P 4.426 -0.618 3.417
P 5.454 0.618 11.522
P 7.307 -0.618 4.052
N 4.013 1.081 11.204
N 5.867 -1.081 3.735
Cl 0.386 0.210 2.315
Cl 1.713 1.863 9.655
Cl -1.468 -0.210 9.785
Cl -1.429 0.494 14.511
Cl 0.425 -0.494 7.042
Cl 4.430 2.069 7.335
Cl 4.347 1.172 2.598
Cl 1.438 0.558 12.490
Cl 7.304 2.069 0.135
Cl 3.292 -0.558 5.020
Cl 6.314 1.863 12.754
Cl 7.387 1.172 4.871
Cl 2.493 -1.172 10.068
Cl 3.566 -1.863 2.185
Cl 6.589 0.558 9.919
Cl 2.577 -2.069 14.804
Cl 8.442 -0.558 2.449
Cl 5.534 -1.172 12.341
Cl 5.450 -2.069 7.604
Cl 9.456 0.494 7.897
Cl 11.309 -0.494 0.428
Cl 11.348 0.210 5.154
Cl 8.168 -1.863 5.284
Cl 9.495 -0.210 12.624
```

Calculated values
- total DFT energy (no corrections) (eV per atom) = -10.385
- space group = C2/c
- formation energy from the elements (eV/f.u.) = -16.60

=====

Compound: Pr2NCl3
Source: Materials Project
Functional: r2SCAN
Structure: optimized geometry

Cell and atoms, written as extended XYZ:
```
12
Lattice="-3.435 6.829 3.090 3.435 -6.829 3.090 3.435 6.829 -3.090" Properties=species:S:1:pos:R:3 pbc="T T T"
Pr 1.216 1.274 0.000
Pr 1.216 -1.274 3.090
Pr 2.219 8.103 0.000
Pr 2.219 5.556 3.090
N 0.000 0.000 1.545
N 0.000 0.000 4.634
Cl 2.197 -4.083 3.090
Cl 3.435 0.000 1.545
Cl 2.197 4.083 0.000
Cl 1.239 2.746 3.090
Cl 0.000 6.829 1.545
Cl 1.239 10.913 0.000
```

Calculated values
- total DFT energy (no corrections) (eV per atom) = -16.763
- space group = Ibam
- formation energy from the elements (eV/f.u.) = -14.18

=====

Compound: SeS4N3Cl3
Source: Materials Project
Functional: r2SCAN
Structure: optimized geometry

Cell and atoms, written as extended XYZ:
```
88
Lattice="10.460 0.000 0.000 0.000 13.826 0.000 -2.654 0.000 13.847" Properties=species:S:1:pos:R:3 pbc="T T T"
Se 0.312 1.763 5.444
Se -1.015 5.150 12.368
Se 1.519 8.674 3.985
Se 0.192 12.065 10.909
Se 7.614 1.761 2.938
Se 6.287 5.152 9.862
Se 8.821 8.676 1.479
Se 7.494 12.063 8.403
S -1.927 1.708 13.821
S -0.600 5.205 6.897
S -0.837 8.743 12.486
S 0.490 11.996 5.562
S -0.545 1.595 11.148
S 0.782 5.318 4.225
S 0.538 8.399 9.830
S 1.865 12.340 2.907
S 2.432 2.030 1.169
S 1.105 4.883 8.093
S 0.884 8.962 13.668
S 2.211 11.776 6.744
S 1.806 2.127 12.795
S 3.132 4.786 5.872
S 2.927 8.738 11.467
S 4.254 12.001 4.544
S 3.553 1.825 9.303
S 4.880 5.088 2.380
S 4.674 9.040 7.976
S 6.001 11.699 1.052
S 5.596 2.049 7.103
S 6.922 4.864 0.179
S 6.702 8.942 5.755
S 5.375 11.796 12.678
S 5.942 1.486 10.940
S 7.269 5.427 4.017
S 7.025 8.508 9.622
S 8.351 12.230 2.699
S 7.316 1.830 8.285
S 8.643 5.083 1.362
S 8.406 8.621 6.950
S 9.733 12.118 0.027
N -1.530 1.528 12.322
N -0.203 5.385 5.399
N -0.454 8.505 10.997
N 0.873 12.233 4.074
N 0.963 1.888 11.488
N 2.289 5.025 4.564
N 3.707 2.149 0.287
N 2.381 4.763 7.210
N 2.068 8.528 10.162
N 3.395 12.211 3.238
N 2.167 8.921 12.791
N 3.493 11.818 5.867
N 4.313 2.008 7.980
N 5.640 4.905 1.057
N 4.411 1.615 10.609
N 5.738 5.298 3.685
N 5.426 9.062 6.637
N 4.099 11.676 13.560
N 5.517 8.800 9.283
N 6.844 11.938 2.359
N 6.934 1.593 9.774
N 8.260 5.320 2.850
N 8.009 8.441 8.448
N 9.336 12.298 1.525
Cl -0.099 2.138 2.769
Cl -1.426 4.775 9.692
Cl 1.044 9.342 1.445
Cl -0.283 11.396 8.369
Cl 0.417 1.399 7.671
Cl 1.744 5.514 0.747
Cl 1.670 8.145 6.220
Cl 0.343 12.593 13.144
Cl 2.496 1.321 5.052
Cl 1.169 5.592 11.976
Cl 3.710 8.431 3.563
Cl 2.383 12.307 10.487
Cl 5.424 1.518 3.360
Cl 4.097 5.395 10.284
Cl 6.637 8.234 1.872
Cl 5.310 12.505 8.795
Cl 7.463 1.232 0.703
Cl 6.136 5.680 7.627
Cl 6.063 8.312 13.100
Cl 7.389 12.427 6.176
Cl 8.090 2.429 5.479
Cl 6.763 4.483 12.402
Cl 9.232 9.051 4.155
Cl 7.905 11.688 11.078
```

Calculated values
- total DFT energy (no corrections) (eV per atom) = -8.245
- space group = P2_1/c
- formation energy from the elements (eV/f.u.) = 1.60

=====

Compound: Sc4NCl6
Source: Materials Project
Functional: r2SCAN
Structure: optimized geometry

Cell and atoms, written as extended XYZ:
```
22
Lattice="11.558 0.000 0.000 0.000 12.064 0.000 0.000 0.000 3.492" Properties=species:S:1:pos:R:3 pbc="T T T"
Sc 1.170 0.939 0.000
Sc 1.387 10.332 1.746
Sc 4.392 4.300 1.746
Sc 4.609 6.971 0.000
Sc 6.949 5.092 0.000
Sc 7.167 7.763 1.746
Sc 10.171 1.731 1.746
Sc 10.388 11.124 0.000
N 0.000 0.000 1.746
N 5.779 6.032 1.746
Cl 0.170 8.944 0.000
Cl 2.710 2.137 1.746
Cl 2.776 5.188 0.000
Cl 3.003 11.219 0.000
Cl 3.069 8.169 1.746
Cl 5.610 2.912 0.000
Cl 5.949 9.152 0.000
Cl 8.489 3.895 1.746
Cl 8.555 0.844 0.000
Cl 8.782 6.876 0.000
Cl 8.848 9.926 1.746
Cl 11.389 3.120 0.000
```

Calculated values
- total DFT energy (no corrections) (eV per atom) = -10.498
- space group = Pbam
- formation energy from the elements (eV/f.u.) = -23.84

=====

Compound: Sc5NCl8
Source: Materials Project
Functional: r2SCAN
Structure: optimized geometry

Cell and atoms, written as extended XYZ:
```
14
Lattice="8.953 -1.751 0.000 8.953 1.751 0.000 -7.746 0.000 9.221" Properties=species:S:1:pos:R:3 pbc="T T T"
Sc 0.000 0.000 0.000
Sc -2.359 0.000 6.180
Sc 4.020 0.000 5.634
Sc 6.141 0.000 3.588
Sc 12.520 0.000 3.041
N -3.873 0.000 4.611
Cl -1.341 0.000 2.191
Cl 2.015 0.000 4.032
Cl 4.619 0.000 1.524
Cl -0.346 0.000 8.241
Cl 10.507 0.000 0.981
Cl 5.542 0.000 7.698
Cl 8.146 0.000 5.190
Cl 11.501 0.000 7.030
```

Calculated values
- total DFT energy (no corrections) (eV per atom) = -10.392
- space group = C2/m
- formation energy from the elements (eV/f.u.) = -30.15

=====

Compound: Sc2NCl2
Source: Materials Project
Functional: r2SCAN
Structure: optimized geometry

Cell and atoms, written as extended XYZ:
```
5
Lattice="3.362 0.000 0.000 -1.681 2.912 0.000 0.000 0.000 9.072" Properties=species:S:1:pos:R:3 pbc="T T T"
Sc 0.000 1.941 3.348
Sc 1.681 0.971 5.724
N 0.000 0.000 4.536
Cl 0.000 1.941 7.404
Cl 1.681 0.971 1.668
```

Calculated values
- total DFT energy (no corrections) (eV per atom) = -11.050
- space group = P-3m1
- formation energy from the elements (eV/f.u.) = -11.02